# 1
This record from Materials Project describes an optimized crystal structure of NaMn16O32. The functional is GGA+U.

Cell: 9.938 9.938 5.879 Å, 90.00 90.00 90.00°
Space group P4/m (No. 83)
Inequivalent atoms, fractional coordinates:
1 Na 0.000 0.000 0.000 [1 per cell]
2 Mn 0.151 0.666 0.251 [8 per cell]
3 Mn 0.167 0.348 0.500 [4 per cell]
4 Mn 0.167 0.349 0.000 [4 per cell]
5 O 0.043 0.332 0.250 [8 per cell]
6 O 0.154 0.798 0.000 [4 per cell]
7 O 0.155 0.796 0.500 [4 per cell]
8 O 0.163 0.542 0.000 [4 per cell]
9 O 0.163 0.542 0.500 [4 per cell]
10 O 0.296 0.343 0.250 [8 per cell]

# 2
This record from Materials Project describes an optimized crystal structure of Cs3V2O2F7. The functional is GGA+U.

Cell: 6.460 11.162 15.242 Å, 90.00 91.00 90.00°
Space group C2/c (No. 15)
Inequivalent atoms, fractional coordinates:
1 Cs 0.000 0.168 0.250 [4 per cell]
2 Cs 0.001 0.166 0.567 [8 per cell]
3 V 0.024 0.494 0.650 [8 per cell]
4 O 0.214 0.429 0.597 [8 per cell]
5 F 0.000 0.367 0.750 [4 per cell]
6 F 0.006 0.353 0.404 [8 per cell]
7 F 0.195 0.433 0.248 [8 per cell]
8 F 0.223 0.430 0.903 [8 per cell]

Number 1: DFT total energy -7.082 eV/atom, calculated volume 11.85 A^3/atom. Number 2: DFT total energy -5.580 eV/atom, calculated volume 19.62 A^3/atom.